(1)
KCoP3O9 | PBE with a Hubbard U | optimized geometry

Structure (POSCAR):
```
KCoP3O9
1.0
-1.973 5.677 3.961
-4.203 -6.325 0.624
7.719 -4.552 4.513
P O Co K
6 18 2 2
direct
0.700 0.838 0.737
0.229 0.932 0.115
0.888 0.340 0.273
0.576 0.154 0.746
0.663 0.899 0.204
0.232 0.099 0.853
0.627 0.978 0.804
0.578 0.169 0.597
0.026 0.730 0.073
0.667 0.668 0.813
0.241 0.115 0.179
0.796 0.113 0.170
0.970 0.001 0.776
0.311 0.056 0.730
0.435 0.899 0.211
0.592 0.733 0.086
0.333 0.316 0.908
0.286 0.969 0.964
0.830 0.287 0.409
0.736 0.416 0.180
0.768 0.883 0.357
0.602 0.800 0.576
0.719 0.333 0.865
0.134 0.454 0.300
0.677 0.037 0.471
0.689 0.542 0.003
0.143 0.442 0.041
0.533 0.451 0.395
```

Properties
* space group: P1
* ΔE to the lowest computed polymorph: 69 meV/atom
* total magnetic moment: 6.0 μB per cell
* energy of formation from the pure elements: -2.438 eV/atom


(2)
KCoPO4 | PBE with a Hubbard U | optimized geometry

Structure (POSCAR):
```
KCoPO4
1.0
0.000 0.000 -8.632
-9.222 -15.973 0.000
-9.222 15.973 0.000
O P Co K
96 24 24 24
direct
0.453 0.285 0.486
0.765 0.027 0.750
0.232 0.940 0.368
0.767 0.403 0.314
0.953 0.486 0.202
0.953 0.715 0.514
0.951 0.380 0.848
0.285 0.130 0.584
0.943 0.858 0.812
0.214 0.442 0.365
0.764 0.877 0.929
0.767 0.686 0.089
0.733 0.214 0.962
0.683 0.414 0.620
0.719 0.884 0.289
0.684 0.744 0.284
0.942 0.188 0.047
0.683 0.207 0.586
0.233 0.786 0.038
0.785 0.870 0.416
0.233 0.252 0.214
0.018 0.320 0.984
0.660 0.890 0.807
0.267 0.089 0.403
0.292 0.467 0.246
0.951 0.152 0.532
0.792 0.533 0.754
0.219 0.116 0.711
0.951 0.468 0.620
0.785 0.584 0.454
0.451 0.620 0.152
0.285 0.454 0.870
0.264 0.929 0.053
0.267 0.314 0.911
0.219 0.289 0.405
0.267 0.597 0.686
0.765 0.723 0.973
0.264 0.947 0.877
0.160 0.807 0.917
0.942 0.953 0.142
0.018 0.664 0.680
0.214 0.923 0.558
0.451 0.532 0.380
0.292 0.779 0.533
0.765 0.250 0.277
0.732 0.368 0.429
0.233 0.962 0.748
0.442 0.047 0.858
0.714 0.365 0.923
0.183 0.586 0.380
0.764 0.071 0.947
0.732 0.571 0.940
0.219 0.595 0.884
0.733 0.748 0.786
0.160 0.110 0.193
0.184 0.461 0.744
0.265 0.973 0.250
0.733 0.038 0.252
0.764 0.053 0.123
0.183 0.620 0.207
0.660 0.193 0.083
0.265 0.750 0.723
0.265 0.277 0.027
0.714 0.077 0.442
0.518 0.984 0.664
0.785 0.546 0.130
0.292 0.754 0.221
0.792 0.246 0.779
0.792 0.221 0.467
0.453 0.202 0.715
0.232 0.632 0.571
0.719 0.711 0.595
0.732 0.060 0.632
0.232 0.429 0.060
0.453 0.514 0.798
0.183 0.793 0.414
0.660 0.917 0.110
0.684 0.539 0.256
0.719 0.405 0.116
0.767 0.911 0.597
0.160 0.083 0.890
0.518 0.336 0.320
0.953 0.798 0.285
0.518 0.680 0.016
0.184 0.256 0.716
0.285 0.416 0.546
0.264 0.123 0.071
0.442 0.812 0.953
0.443 0.142 0.188
0.684 0.716 0.461
0.683 0.380 0.793
0.184 0.284 0.539
0.214 0.635 0.077
0.451 0.848 0.468
0.018 0.016 0.336
0.714 0.558 0.635
0.786 0.494 0.657
0.286 0.836 0.494
0.276 0.010 0.843
0.693 0.997 0.661
0.286 0.506 0.343
0.285 0.506 0.824
0.276 0.834 0.990
0.693 0.665 0.003
0.785 0.681 0.506
0.193 0.335 0.997
0.786 0.164 0.506
0.693 0.339 0.335
0.776 0.166 0.010
0.286 0.657 0.164
0.786 0.343 0.836
0.285 0.176 0.681
0.785 0.824 0.319
0.193 0.661 0.665
0.276 0.157 0.166
0.193 0.003 0.339
0.785 0.494 0.176
0.776 0.843 0.834
0.285 0.319 0.494
0.776 0.990 0.157
0.172 0.166 0.513
0.170 0.502 0.178
0.297 0.001 0.671
0.670 0.498 0.822
0.797 0.999 0.329
0.170 0.676 0.498
0.163 0.173 0.009
0.663 0.009 0.836
0.670 0.178 0.676
0.163 0.836 0.827
0.163 0.991 0.164
0.797 0.671 0.670
0.663 0.164 0.173
0.672 0.834 0.487
0.297 0.670 0.999
0.672 0.513 0.348
0.797 0.330 0.001
0.297 0.329 0.330
0.672 0.652 0.166
0.663 0.827 0.991
0.172 0.348 0.834
0.172 0.487 0.652
0.170 0.822 0.324
0.670 0.324 0.502
0.482 0.004 0.480
0.986 0.334 0.197
0.978 0.668 0.849
0.500 0.000 0.000
0.000 0.000 0.000
0.978 0.180 0.332
0.486 0.197 0.862
0.956 0.667 0.333
0.455 0.667 0.333
0.955 0.333 0.667
0.478 0.820 0.668
0.982 0.524 0.004
0.982 0.480 0.476
0.986 0.862 0.666
0.456 0.333 0.667
0.482 0.476 0.996
0.478 0.332 0.151
0.482 0.520 0.524
0.486 0.666 0.803
0.486 0.138 0.334
0.478 0.849 0.180
0.978 0.151 0.820
0.986 0.803 0.138
0.982 0.996 0.520
```

Properties
* space group: P6_3
* total magnetic moment: 72.0 μB per cell
* energy of formation from the pure elements: -2.355 eV/atom


(3)
KCo2P2O8 | PBE with a Hubbard U | optimized geometry

Structure (POSCAR):
```
KCo2P2O8
1.0
6.763 6.852 0.000
-6.763 6.852 0.000
0.000 1.499 8.808
O K P Co
32 4 8 8
direct
0.976 0.765 0.184
0.825 0.098 0.984
0.407 0.314 0.410
0.450 0.673 0.012
0.032 0.182 0.101
0.362 0.149 0.007
0.182 0.032 0.601
0.462 0.248 0.749
0.902 0.175 0.516
0.354 0.863 0.507
0.686 0.593 0.090
0.550 0.327 0.988
0.538 0.752 0.251
0.149 0.362 0.507
0.968 0.818 0.899
0.765 0.976 0.684
0.137 0.646 0.993
0.314 0.407 0.910
0.818 0.968 0.399
0.593 0.686 0.590
0.638 0.851 0.993
0.752 0.538 0.751
0.327 0.550 0.488
0.673 0.450 0.512
0.248 0.462 0.249
0.024 0.235 0.816
0.175 0.902 0.016
0.863 0.354 0.007
0.235 0.024 0.316
0.098 0.825 0.484
0.646 0.137 0.493
0.851 0.638 0.493
0.566 0.069 0.220
0.434 0.931 0.780
0.931 0.434 0.280
0.069 0.566 0.720
0.215 0.936 0.473
0.064 0.785 0.027
0.715 0.580 0.588
0.936 0.215 0.973
0.285 0.420 0.412
0.785 0.064 0.527
0.420 0.285 0.912
0.580 0.715 0.088
0.192 0.067 0.114
0.300 0.546 0.049
0.546 0.300 0.549
0.700 0.454 0.951
0.067 0.192 0.614
0.454 0.700 0.451
0.933 0.808 0.386
0.808 0.933 0.886
```

Properties
* space group: C2/c
* total magnetic moment: 28.0 μB per cell
* energy of formation from the pure elements: -2.265 eV/atom


(4)
KCo4P3O12 | PBE with a Hubbard U | optimized geometry

Structure (POSCAR):
```
KCo4P3O12
1.0
-2.122 5.825 0.116
-3.111 -1.317 9.228
14.736 5.255 5.717
O Co P K
48 16 12 4
direct
0.500 0.361 0.456
0.200 0.833 0.911
0.299 0.418 0.881
0.500 0.887 0.771
0.500 0.380 0.180
0.293 0.905 0.176
0.201 0.918 0.619
0.000 0.880 0.320
0.500 0.134 0.520
0.000 0.887 0.751
0.201 0.082 0.381
0.000 0.366 0.020
0.707 0.905 0.176
0.500 0.113 0.229
0.300 0.333 0.589
0.000 0.113 0.249
0.701 0.418 0.881
0.000 0.387 0.729
0.000 0.634 0.980
0.207 0.595 0.676
0.701 0.582 0.119
0.700 0.333 0.589
0.800 0.167 0.089
0.500 0.613 0.251
0.500 0.888 0.305
0.500 0.620 0.820
0.500 0.866 0.480
0.799 0.918 0.619
0.500 0.387 0.749
0.707 0.095 0.824
0.500 0.112 0.695
0.000 0.613 0.271
0.000 0.388 0.195
0.793 0.405 0.324
0.000 0.139 0.956
0.793 0.595 0.676
0.200 0.167 0.089
0.000 0.120 0.680
0.800 0.833 0.911
0.293 0.095 0.824
0.799 0.082 0.381
0.300 0.667 0.411
0.000 0.612 0.805
0.700 0.667 0.411
0.000 0.861 0.044
0.500 0.639 0.544
0.299 0.582 0.119
0.207 0.405 0.324
0.000 0.530 0.091
0.751 0.256 0.704
0.749 0.244 0.204
0.500 0.513 0.638
0.500 0.030 0.409
0.249 0.744 0.296
0.000 0.470 0.909
0.249 0.256 0.704
0.000 0.013 0.862
0.500 0.970 0.591
0.251 0.756 0.796
0.749 0.756 0.796
0.251 0.244 0.204
0.751 0.744 0.296
0.000 0.987 0.138
0.500 0.487 0.362
0.000 0.457 0.282
0.500 0.538 0.165
0.500 0.462 0.835
0.000 0.210 0.036
0.500 0.710 0.464
0.000 0.790 0.964
0.000 0.543 0.718
0.500 0.043 0.782
0.000 0.962 0.665
0.000 0.038 0.335
0.500 0.290 0.536
0.500 0.957 0.218
0.500 0.207 0.966
0.000 0.707 0.534
0.500 0.793 0.034
0.000 0.293 0.466
```

Properties
* space group: Pnnm
* total magnetic moment: 48.0 μB per cell
* energy of formation from the pure elements: -2.218 eV/atom


(5)
KCoP3O9 | PBE with a Hubbard U | optimized geometry

Structure (POSCAR):
```
KCoP3O9
1.0
-3.362 -5.829 0.000
-3.362 5.829 0.000
0.000 0.000 -9.950
O P Co K
18 6 2 2
direct
0.409 0.339 0.880
0.930 0.338 0.380
0.662 0.592 0.380
0.285 0.856 0.750
0.285 0.429 0.250
0.930 0.592 0.880
0.144 0.429 0.750
0.571 0.856 0.250
0.571 0.715 0.750
0.929 0.591 0.620
0.662 0.070 0.620
0.409 0.071 0.380
0.144 0.715 0.250
0.661 0.591 0.120
0.662 0.070 0.880
0.408 0.339 0.620
0.408 0.070 0.120
0.930 0.338 0.120
0.392 0.443 0.750
0.557 0.608 0.250
0.391 0.949 0.250
0.051 0.609 0.750
0.051 0.442 0.250
0.558 0.949 0.750
0.667 0.333 0.500
0.667 0.333 0.000
0.000 0.000 0.500
0.000 0.000 0.000
```

Properties
* space group: P-6c2
* ΔE to the lowest computed polymorph: 0 meV/atom
* total magnetic moment: 0.0 μB per cell
* energy of formation from the pure elements: -2.507 eV/atom


(6)
K2UCoP2O11 | PBE with a Hubbard U | optimized geometry

Structure (POSCAR):
```
K2UCoP2O11
1.0
8.303 0.000 0.000
0.000 17.116 0.000
-2.225 0.000 7.719
P O K Co U
8 44 8 4 4
direct
0.542 0.631 0.066
0.458 0.131 0.434
0.458 0.369 0.934
0.906 0.849 0.048
0.094 0.349 0.452
0.094 0.151 0.952
0.906 0.651 0.548
0.542 0.869 0.566
0.916 0.563 0.496
0.676 0.068 0.940
0.892 0.705 0.391
0.396 0.440 0.811
0.907 0.143 0.381
0.093 0.643 0.119
0.629 0.108 0.561
0.487 0.204 0.327
0.669 0.849 0.463
0.371 0.892 0.439
0.669 0.651 0.963
0.907 0.357 0.881
0.324 0.932 0.060
0.108 0.295 0.609
0.916 0.496 0.144
0.079 0.662 0.682
0.245 0.339 0.377
0.921 0.162 0.818
0.084 0.063 0.004
0.513 0.704 0.173
0.916 0.937 0.996
0.371 0.608 0.939
0.755 0.661 0.623
0.755 0.839 0.123
0.245 0.161 0.877
0.079 0.838 0.182
0.108 0.205 0.109
0.487 0.296 0.827
0.084 0.504 0.856
0.604 0.560 0.189
0.921 0.338 0.318
0.892 0.795 0.891
0.331 0.151 0.537
0.396 0.060 0.311
0.084 0.996 0.356
0.084 0.437 0.504
0.629 0.392 0.061
0.676 0.432 0.440
0.093 0.857 0.619
0.916 0.004 0.644
0.604 0.940 0.689
0.513 0.796 0.673
0.324 0.568 0.560
0.331 0.349 0.037
0.720 0.510 0.776
0.720 0.990 0.276
0.280 0.010 0.724
0.758 0.271 0.587
0.280 0.490 0.224
0.758 0.229 0.087
0.242 0.771 0.913
0.242 0.729 0.413
0.299 0.272 0.204
0.299 0.228 0.704
0.701 0.728 0.796
0.701 0.772 0.296
0.205 0.964 0.210
0.795 0.464 0.290
0.205 0.536 0.710
0.795 0.036 0.790
```

Properties
* space group: P2_1/c
* total magnetic moment: 10.3 μB per cell
* energy of formation from the pure elements: -2.437 eV/atom


Number 1: theoretical density 2.45 g cm⁻³, energy with MP2020 corrections -7.3659 eV per atom. Number 2: theoretical density 3.02 g cm⁻³, energy with MP2020 corrections -7.1295 eV per atom. Number 3: theoretical density 2.82 g cm⁻³, energy with MP2020 corrections -7.3217 eV per atom. Number 4: theoretical density 3.66 g cm⁻³, energy with MP2020 corrections -7.4759 eV per atom. Number 5: theoretical density 2.85 g cm⁻³, energy with MP2020 corrections -7.4344 eV per atom. Number 6: theoretical density 3.71 g cm⁻³, energy with MP2020 corrections -7.4886 eV per atom.